(1)
# Re8Pb8O27

An optimized crystal structure of Re8Pb8O27 (PBE-GGA, the Materials Project).

energy relative to the lowest polymorph listed for this composition: 0 meV per atom
calculated total energy: -7.44 eV per atom
symmetry: P-4m2, No. 115
energy of formation: -75.8 eV per formula unit

Lattice parameters (Å, degrees): 7.481 7.481 10.653 90.00 90.00 90.00
Fractional positions:
O 0.689 0.311 0.000
Pb 0.747 0.000 0.876
O 0.000 0.000 0.000
O 0.500 0.500 0.188
O 0.000 0.500 0.557
O 0.000 0.000 0.688
Re 0.500 0.749 0.125
O 0.809 0.809 0.500
O 0.810 0.688 0.749
Re 0.251 0.500 0.875
O 0.311 0.689 0.000
Pb 0.251 0.500 0.384
Re 0.500 0.251 0.125
O 0.000 0.500 0.281
Pb 0.253 0.000 0.876
Re 0.751 0.000 0.373
O 0.689 0.689 0.000
O 0.500 0.000 0.719
O 0.688 0.190 0.251
O 0.809 0.191 0.500
Pb 0.500 0.749 0.616
Pb 0.500 0.251 0.616
Re 0.000 0.249 0.627
O 0.688 0.810 0.251
Re 0.249 0.000 0.373
Re 0.749 0.500 0.875
O 0.191 0.191 0.500
O 0.312 0.190 0.251
O 0.000 0.000 0.312
O 0.500 0.000 0.062
O 0.311 0.311 0.000
O 0.500 0.000 0.443
Pb 0.000 0.747 0.124
O 0.190 0.312 0.749
O 0.190 0.688 0.749
O 0.000 0.500 0.938
O 0.191 0.809 0.500
Pb 0.749 0.500 0.384
O 0.312 0.810 0.251
Pb 0.000 0.253 0.124
Re 0.000 0.751 0.627
O 0.500 0.500 0.812
O 0.810 0.312 0.749

=====

(2)
# Sb3RhPb4O13

An optimized crystal structure of Sb3RhPb4O13 (PBE-GGA, the Materials Project).

calculated total energy: -6.00 eV per atom
symmetry: R3m, No. 160
energy of formation: -36.0 eV per formula unit

Lattice parameters (Å, degrees): 7.484 7.484 7.484 60.83 60.83 60.83
Fractional positions:
Sb 0.500 0.001 0.500
O 0.124 0.124 0.124
O 0.180 0.572 0.180
Pb 0.999 0.999 0.999
O 0.423 0.832 0.423
O 0.423 0.423 0.832
O 0.822 0.822 0.427
Pb 0.999 0.999 0.505
Pb 0.999 0.505 0.999
O 0.822 0.427 0.822
Sb 0.001 0.500 0.500
Rh 0.500 0.500 0.500
Sb 0.500 0.500 0.001
O 0.180 0.180 0.572
Pb 0.505 0.999 0.999
O 0.575 0.172 0.575
O 0.427 0.822 0.822
O 0.575 0.575 0.172
O 0.572 0.180 0.180
O 0.172 0.575 0.575
O 0.832 0.423 0.423

=====

(3)
# Ru4Pb4O13

An optimized crystal structure of Ru4Pb4O13 (PBE-GGA, the Materials Project).

calculated total energy: -6.63 eV per atom
symmetry: F-43m, No. 216
energy of formation: -31.9 eV per formula unit

Lattice parameters (Å, degrees): 7.339 7.339 7.339 60.00 60.00 60.00
Fractional positions:
O 0.555 0.555 0.945
O 0.198 0.802 0.198
Ru 0.875 0.375 0.875
O 0.198 0.198 0.802
O 0.945 0.555 0.555
O 0.802 0.802 0.198
Ru 0.875 0.875 0.875
O 0.945 0.555 0.945
Pb 0.373 0.373 0.373
Pb 0.373 0.373 0.881
O 0.555 0.945 0.945
Pb 0.881 0.373 0.373
O 0.500 0.500 0.500
O 0.802 0.198 0.802
Ru 0.375 0.875 0.875
Ru 0.875 0.875 0.375
Pb 0.373 0.881 0.373
O 0.802 0.198 0.198
O 0.945 0.945 0.555
O 0.555 0.945 0.555
O 0.198 0.802 0.802

=====

(4)
# Pb3S2O12

An optimized crystal structure of Pb3S2O12 (PBE-GGA, the Materials Project).

calculated total energy: -5.43 eV per atom
symmetry: P2_12_12_1, No. 19
energy of formation: -21.7 eV per formula unit

Lattice parameters (Å, degrees): 6.985 8.535 16.120 90.00 90.00 90.00
Fractional positions:
O 0.939 0.918 0.492
O 0.056 0.416 0.159
O 0.444 0.584 0.659
S 0.567 0.561 0.583
Pb 0.911 0.191 0.577
O 0.285 0.187 0.919
O 0.852 0.597 0.749
O 0.785 0.313 0.081
Pb 0.582 0.810 0.752
O 0.561 0.082 0.992
O 0.558 0.082 0.326
Pb 0.418 0.310 0.748
O 0.195 0.833 0.082
O 0.439 0.582 0.508
S 0.935 0.439 0.751
O 0.060 0.419 0.825
O 0.061 0.418 0.008
O 0.636 0.430 0.917
Pb 0.411 0.309 0.423
O 0.545 0.079 0.650
Pb 0.083 0.683 0.579
S 0.433 0.061 0.917
O 0.715 0.687 0.581
O 0.864 0.570 0.417
O 0.440 0.581 0.325
O 0.944 0.916 0.341
O 0.955 0.921 0.150
O 0.942 0.918 0.826
Pb 0.089 0.691 0.923
S 0.565 0.561 0.251
O 0.787 0.312 0.751
O 0.560 0.081 0.175
O 0.648 0.403 0.249
O 0.442 0.582 0.174
O 0.045 0.421 0.350
O 0.146 0.098 0.416
O 0.556 0.084 0.841
O 0.455 0.579 0.850
O 0.287 0.188 0.249
O 0.352 0.903 0.251
S 0.067 0.939 0.417
O 0.213 0.812 0.749
Pb 0.918 0.190 0.252
O 0.854 0.598 0.084
Pb 0.583 0.817 0.421
O 0.215 0.813 0.419
O 0.136 0.070 0.083
O 0.805 0.333 0.418
O 0.940 0.919 0.675
Pb 0.082 0.690 0.248
O 0.713 0.688 0.251
O 0.548 0.080 0.515
O 0.695 0.667 0.918
O 0.305 0.167 0.582
S 0.435 0.061 0.249
Pb 0.917 0.183 0.921
Pb 0.417 0.317 0.079
O 0.364 0.930 0.583
Pb 0.589 0.809 0.077
O 0.058 0.418 0.674
O 0.148 0.097 0.751
O 0.452 0.580 0.985
S 0.065 0.939 0.749
O 0.952 0.920 0.015
O 0.354 0.902 0.916
S 0.933 0.439 0.083
O 0.646 0.402 0.584
O 0.048 0.420 0.485

=====

(5)
# Zn2Si3Pb4SO15

An optimized crystal structure of Zn2Si3Pb4SO15 (PBE-GGA, the Materials Project).

calculated total energy: -6.39 eV per atom
symmetry: P2_1, No. 4
energy of formation: -58.0 eV per formula unit

Lattice parameters (Å, degrees): 5.331 11.503 12.805 72.00 90.00 90.00
Fractional positions:
Zn 0.019 0.639 0.387
O 0.366 0.193 0.662
Pb 0.954 0.543 0.113
Si 0.479 0.077 0.624
O 0.237 0.654 0.840
Pb 0.997 0.153 0.783
O 0.269 0.217 0.930
O 0.769 0.783 0.070
Pb 0.454 0.457 0.887
O 0.515 0.103 0.091
Si 0.941 0.639 0.816
O 0.532 0.047 0.919
O 0.767 0.597 0.928
Zn 0.519 0.361 0.613
O 0.411 0.113 0.492
O 0.378 0.642 0.346
Si 0.441 0.361 0.184
O 0.321 0.472 0.670
O 0.431 0.400 0.452
O 0.931 0.600 0.548
O 0.224 0.764 0.071
O 0.032 0.953 0.081
O 0.329 0.950 0.690
O 0.911 0.887 0.508
O 0.724 0.236 0.929
O 0.015 0.897 0.909
O 0.821 0.528 0.330
O 0.866 0.807 0.338
O 0.782 0.063 0.649
O 0.314 0.239 0.273
Pb 0.481 0.815 0.872
O 0.408 0.477 0.236
S 0.009 0.853 0.033
Pb 0.497 0.847 0.217
Pb 0.981 0.185 0.128
Zn 0.990 0.921 0.646
Zn 0.490 0.079 0.354
O 0.737 0.346 0.160
O 0.282 0.937 0.351
Si 0.018 0.486 0.656
O 0.878 0.358 0.654
Si 0.518 0.514 0.344
O 0.829 0.050 0.310
S 0.509 0.147 0.967
Pb 0.115 0.268 0.437
Pb 0.615 0.732 0.563
O 0.908 0.523 0.764
Si 0.979 0.923 0.376
O 0.267 0.403 0.072
O 0.814 0.761 0.727

=====

(6)
# TiPbS6O21

An optimized crystal structure of TiPbS6O21 (PBE-GGA, the Materials Project).

calculated total energy: -6.27 eV per atom
symmetry: P2_1/c, No. 14
energy of formation: -55.9 eV per formula unit

Lattice parameters (Å, degrees): 13.069 7.230 18.235 87.62 90.00 90.00
Fractional positions:
O 0.802 0.947 0.728
O 0.303 0.430 0.826
O 0.090 0.174 0.049
Pb 0.246 0.953 0.015
O 0.082 0.765 0.571
O 0.910 0.117 0.085
O 0.921 0.949 0.568
O 0.260 0.293 0.441
O 0.421 0.051 0.932
O 0.803 0.570 0.674
O 0.194 0.779 0.772
Pb 0.254 0.953 0.515
O 0.078 0.399 0.432
Ti 0.367 0.296 0.748
O 0.025 0.577 0.905
O 0.940 0.632 0.320
O 0.651 0.806 0.913
S 0.049 0.595 0.123
O 0.151 0.194 0.587
O 0.760 0.707 0.059
S 0.768 0.069 0.271
S 0.451 0.595 0.623
O 0.240 0.293 0.941
S 0.022 0.211 0.405
Pb 0.754 0.047 0.985
O 0.197 0.430 0.326
O 0.198 0.053 0.272
S 0.507 0.797 0.400
S 0.301 0.440 0.909
O 0.979 0.743 0.130
O 0.590 0.117 0.585
O 0.060 0.368 0.680
O 0.916 0.481 0.802
O 0.458 0.170 0.678
S 0.493 0.203 0.600
O 0.521 0.743 0.630
S 0.007 0.203 0.100
O 0.416 0.519 0.698
O 0.975 0.423 0.095
O 0.131 0.067 0.715
O 0.021 0.257 0.870
O 0.133 0.613 0.072
O 0.869 0.933 0.285
O 0.631 0.933 0.785
Ti 0.633 0.704 0.252
Ti 0.133 0.296 0.248
S 0.268 0.931 0.229
S 0.951 0.405 0.877
O 0.958 0.830 0.822
O 0.213 0.626 0.431
O 0.787 0.374 0.569
Pb 0.746 0.047 0.485
S 0.801 0.560 0.591
O 0.042 0.170 0.178
O 0.367 0.613 0.572
S 0.232 0.931 0.729
O 0.910 0.826 0.951
O 0.254 0.332 0.184
O 0.349 0.194 0.087
O 0.740 0.707 0.559
O 0.578 0.601 0.068
O 0.479 0.257 0.370
O 0.633 0.387 0.428
O 0.867 0.387 0.928
O 0.582 0.235 0.929
O 0.525 0.423 0.595
O 0.697 0.570 0.174
O 0.422 0.399 0.932
S 0.199 0.440 0.409
S 0.356 0.255 0.161
O 0.418 0.765 0.071
O 0.723 0.100 0.343
O 0.084 0.519 0.198
O 0.475 0.577 0.405
O 0.918 0.235 0.429
O 0.090 0.883 0.915
O 0.079 0.051 0.432
S 0.144 0.255 0.661
S 0.978 0.789 0.595
O 0.579 0.949 0.068
O 0.287 0.626 0.931
O 0.369 0.067 0.215
O 0.560 0.632 0.820
O 0.277 0.900 0.657
O 0.972 0.765 0.678
O 0.302 0.053 0.772
S 0.644 0.745 0.839
O 0.223 0.900 0.157
O 0.694 0.221 0.728
O 0.849 0.806 0.413
O 0.590 0.826 0.451
O 0.698 0.947 0.228
S 0.732 0.069 0.771
O 0.440 0.368 0.180
S 0.699 0.560 0.091
S 0.522 0.789 0.095
Ti 0.867 0.704 0.752
O 0.713 0.374 0.069
O 0.754 0.668 0.316
O 0.806 0.221 0.228
O 0.246 0.332 0.684
O 0.922 0.601 0.568
O 0.410 0.174 0.549
O 0.028 0.235 0.322
O 0.777 0.100 0.843
S 0.993 0.797 0.900
S 0.856 0.745 0.339
O 0.410 0.883 0.415
O 0.528 0.765 0.178
S 0.478 0.211 0.905
O 0.542 0.830 0.322
S 0.549 0.405 0.377
O 0.306 0.779 0.272
O 0.472 0.235 0.822
O 0.746 0.668 0.816
O 0.584 0.481 0.302

=====

(7)
# Sb2Pb2O7

An optimized crystal structure of Sb2Pb2O7 (PBE-GGA, the Materials Project).

calculated total energy: -5.87 eV per atom
symmetry: Fd-3m, No. 227
energy of formation: -19.1 eV per formula unit

Lattice parameters (Å, degrees): 7.676 7.676 7.676 60.00 60.00 60.00
Fractional positions:
O 0.750 0.750 0.750
O 0.192 0.808 0.192
O 0.808 0.192 0.808
Sb 0.125 0.125 0.625
O 0.500 0.500 0.500
O 0.192 0.192 0.808
Sb 0.125 0.625 0.125
O 0.058 0.442 0.442
O 0.808 0.808 0.192
Pb 0.625 0.625 0.125
O 0.058 0.058 0.442
O 0.192 0.808 0.808
O 0.058 0.442 0.058
Pb 0.625 0.625 0.625
O 0.808 0.192 0.192
O 0.442 0.442 0.058
O 0.442 0.058 0.058
O 0.442 0.058 0.442
Pb 0.125 0.625 0.625
Sb 0.125 0.125 0.125
Pb 0.625 0.125 0.625
Sb 0.625 0.125 0.125

=====

(8)
# Sb2Pb2O7

An optimized crystal structure of Sb2Pb2O7 (PBE-GGA, the Materials Project).

calculated total energy: -5.52 eV per atom
symmetry: Fd-3m, No. 227
energy of formation: -15.2 eV per formula unit

Lattice parameters (Å, degrees): 7.595 7.595 7.595 60.00 60.00 60.00
Fractional positions:
O 0.723 0.723 0.277
Sb 0.625 0.625 0.125
O 0.527 0.973 0.527
O 0.277 0.723 0.723
O 0.973 0.527 0.973
O 0.277 0.277 0.723
O 0.723 0.277 0.723
Sb 0.625 0.125 0.625
Sb 0.125 0.625 0.625
O 0.500 0.500 0.500
O 0.527 0.973 0.973
Pb 0.125 0.125 0.125
Sb 0.625 0.625 0.625
Pb 0.125 0.625 0.125
O 0.973 0.527 0.527
O 0.750 0.750 0.750
O 0.527 0.527 0.973
O 0.277 0.723 0.277
O 0.973 0.973 0.527
O 0.723 0.277 0.277
Pb 0.625 0.125 0.125
Pb 0.125 0.125 0.625

=====

(9)
# ScSbPb2O6

An optimized crystal structure of ScSbPb2O6 (PBE-GGA, the Materials Project).

calculated total energy: -6.61 eV per atom
symmetry: Imm2, No. 44
energy of formation: -22.7 eV per formula unit

Lattice parameters (Å, degrees): 5.791 5.791 5.791 120.14 119.81 90.04
Fractional positions:
Sc 0.990 0.000 0.990
O 0.262 0.256 0.006
O 0.261 0.248 0.510
Pb 0.232 0.759 0.473
Sb 0.496 0.500 0.996
O 0.261 0.752 0.013
O 0.750 0.744 0.006
O 0.742 0.743 0.485
O 0.742 0.257 0.999
Pb 0.714 0.241 0.473